VASP calculation (PBE) on an optimized crystal structure of Hf4Mo.

The total energy is -9.145 eV per atom.

The space group is Fd-3m (No. 227, origin choice 2) and the conventional cell measures 9.8749, 9.8749 and 9.8749 Å, with angles of 90.00, 90.00 and 90.00 degrees. The distinct sites, in fractional coordinates, are Hf at (0.0192, 0.0192, 0.2308) and Mo at (0.1250, 0.1250, 0.6250).